Record 1
This record from the Materials Project database describes an optimized crystal structure of ZnS. The functional is GGA-PBE.

Cell lengths 3.8520, 3.8520, 44.0848 Å; angles 90.00, 90.00, 120.00 degrees
Space group P6_3mc (No. 186)
One atom of each set of equivalent atoms:
1 Zn 0.0000 0.0000 0.0000 (multiplicity 2)
2 Zn 0.0000 0.0000 0.2143 (multiplicity 2)
3 Zn 0.3333 0.6667 0.0714 (multiplicity 2)
4 Zn 0.3333 0.6667 0.2857 (multiplicity 2)
5 Zn 0.3333 0.6667 0.4286 (multiplicity 2)
6 Zn 0.3333 0.6667 0.6429 (multiplicity 2)
7 Zn 0.3333 0.6667 0.8571 (multiplicity 2)
8 S 0.0000 0.0000 0.0535 (multiplicity 2)
9 S 0.0000 0.0000 0.2678 (multiplicity 2)
10 S 0.3333 0.6667 0.1250 (multiplicity 2)
11 S 0.3333 0.6667 0.3392 (multiplicity 2)
12 S 0.3333 0.6667 0.4821 (multiplicity 2)
13 S 0.3333 0.6667 0.6964 (multiplicity 2)
14 S 0.3333 0.6667 0.9107 (multiplicity 2)

Computed properties:
**Electronic total energy**: -3.51 eV/atom
**Energy relative to the elements**: -1.062 eV/atom


Record 2
This record from the Materials Project database describes an optimized crystal structure of ZnS. The functional is GGA-PBE.

Cell lengths 3.8528, 3.8528, 47.2625 Å; angles 90.00, 90.00, 120.00 degrees
Space group R3m (No. 160, hexagonal axes)
One atom of each set of equivalent atoms:
1 Zn 0.0000 0.0000 0.0000 (multiplicity 3)
2 Zn 0.0000 0.0000 0.1334 (multiplicity 3)
3 Zn 0.0000 0.0000 0.2667 (multiplicity 3)
4 Zn 0.0000 0.0000 0.5334 (multiplicity 3)
5 Zn 0.0000 0.0000 0.7334 (multiplicity 3)
6 S 0.0000 0.0000 0.0834 (multiplicity 3)
7 S 0.0000 0.0000 0.2168 (multiplicity 3)
8 S 0.0000 0.0000 0.4833 (multiplicity 3)
9 S 0.0000 0.0000 0.6833 (multiplicity 3)
10 S 0.0000 0.0000 0.9501 (multiplicity 3)

Computed properties:
**Piezoelectric modulus e_max**: 0.1 C/m2
**Electronic total energy**: -3.50 eV/atom
**Energy relative to the elements**: -1.051 eV/atom


Record 3
This record from the Materials Project database describes an optimized crystal structure of ZnS. The functional is GGA-PBE.

Cell lengths 13.063, 13.224, 13.331 Å; angles 88.51, 87.53, 87.78 degrees
Space group P1 (No. 1)
One atom of each set of equivalent atoms:
1 Zn 0.000 0.000 0.000 (multiplicity 1)
2 Zn 0.000 0.208 0.315 (multiplicity 1)
3 Zn 0.006 0.580 0.544 (multiplicity 1)
4 Zn 0.013 0.561 0.735 (multiplicity 1)
5 Zn 0.035 0.574 0.278 (multiplicity 1)
6 Zn 0.048 0.884 0.634 (multiplicity 1)
7 Zn 0.068 0.116 0.604 (multiplicity 1)
8 Zn 0.080 0.354 0.620 (multiplicity 1)
9 Zn 0.084 0.071 0.229 (multiplicity 1)
10 Zn 0.155 0.967 0.803 (multiplicity 1)
11 Zn 0.182 0.585 0.618 (multiplicity 1)
12 Zn 0.185 0.806 0.323 (multiplicity 1)
13 Zn 0.210 0.488 0.066 (multiplicity 1)
14 Zn 0.227 0.702 0.925 (multiplicity 1)
15 Zn 0.291 0.374 0.432 (multiplicity 1)
16 Zn 0.292 0.653 0.411 (multiplicity 1)
17 Zn 0.294 0.025 0.512 (multiplicity 1)
18 Zn 0.306 0.239 0.029 (multiplicity 1)
19 Zn 0.329 0.418 0.822 (multiplicity 1)
20 Zn 0.362 0.946 0.943 (multiplicity 1)
21 Zn 0.372 0.827 0.342 (multiplicity 1)
22 Zn 0.391 0.626 0.162 (multiplicity 1)
23 Zn 0.419 0.187 0.290 (multiplicity 1)
24 Zn 0.446 0.660 0.671 (multiplicity 1)
25 Zn 0.469 0.220 0.584 (multiplicity 1)
26 Zn 0.489 0.591 0.924 (multiplicity 1)
27 Zn 0.521 0.449 0.301 (multiplicity 1)
28 Zn 0.542 0.996 0.369 (multiplicity 1)
29 Zn 0.545 0.081 0.076 (multiplicity 1)
30 Zn 0.552 0.206 0.826 (multiplicity 1)
31 Zn 0.559 0.844 0.117 (multiplicity 1)
32 Zn 0.576 0.355 0.072 (multiplicity 1)
33 Zn 0.609 0.400 0.719 (multiplicity 1)
34 Zn 0.615 0.456 0.503 (multiplicity 1)
35 Zn 0.655 0.923 0.707 (multiplicity 1)
36 Zn 0.696 0.185 0.639 (multiplicity 1)
37 Zn 0.706 0.177 0.262 (multiplicity 1)
38 Zn 0.759 0.631 0.564 (multiplicity 1)
39 Zn 0.779 0.905 0.286 (multiplicity 1)
40 Zn 0.786 0.728 0.865 (multiplicity 1)
41 Zn 0.805 0.956 0.037 (multiplicity 1)
42 Zn 0.806 0.464 0.345 (multiplicity 1)
43 Zn 0.818 0.233 0.007 (multiplicity 1)
44 Zn 0.829 0.226 0.494 (multiplicity 1)
45 Zn 0.837 0.498 0.091 (multiplicity 1)
46 Zn 0.877 0.132 0.659 (multiplicity 1)
47 Zn 0.889 0.808 0.688 (multiplicity 1)
48 Zn 0.948 0.822 0.055 (multiplicity 1)
49 Zn 0.968 0.954 0.812 (multiplicity 1)
50 Zn 0.970 0.210 0.799 (multiplicity 1)
51 S 0.002 0.381 0.770 (multiplicity 1)
52 S 0.016 0.252 0.503 (multiplicity 1)
53 S 0.024 0.983 0.488 (multiplicity 1)
54 S 0.042 0.807 0.205 (multiplicity 1)
55 S 0.050 0.667 0.871 (multiplicity 1)
56 S 0.094 0.423 0.195 (multiplicity 1)
57 S 0.102 0.649 0.409 (multiplicity 1)
58 S 0.160 0.977 0.401 (multiplicity 1)
59 S 0.161 0.986 0.081 (multiplicity 1)
60 S 0.170 0.319 0.290 (multiplicity 1)
61 S 0.218 0.369 0.948 (multiplicity 1)
62 S 0.221 0.073 0.669 (multiplicity 1)
63 S 0.231 0.653 0.093 (multiplicity 1)
64 S 0.238 0.417 0.591 (multiplicity 1)
65 S 0.241 0.081 0.975 (multiplicity 1)
66 S 0.259 0.214 0.206 (multiplicity 1)
67 S 0.279 0.845 0.840 (multiplicity 1)
68 S 0.305 0.703 0.577 (multiplicity 1)
69 S 0.352 0.507 0.326 (multiplicity 1)
70 S 0.354 0.202 0.456 (multiplicity 1)
71 S 0.355 0.590 0.821 (multiplicity 1)
72 S 0.433 0.915 0.477 (multiplicity 1)
73 S 0.447 0.324 0.729 (multiplicity 1)
74 S 0.453 0.029 0.223 (multiplicity 1)
75 S 0.486 0.229 0.991 (multiplicity 1)
76 S 0.488 0.741 0.237 (multiplicity 1)
77 S 0.513 0.523 0.076 (multiplicity 1)
78 S 0.529 0.941 0.976 (multiplicity 1)
79 S 0.540 0.791 0.752 (multiplicity 1)
80 S 0.556 0.289 0.240 (multiplicity 1)
81 S 0.559 0.081 0.697 (multiplicity 1)
82 S 0.600 0.556 0.642 (multiplicity 1)
83 S 0.604 0.712 0.875 (multiplicity 1)
84 S 0.619 0.285 0.507 (multiplicity 1)
85 S 0.643 0.544 0.358 (multiplicity 1)
86 S 0.706 0.040 0.374 (multiplicity 1)
87 S 0.715 0.280 0.790 (multiplicity 1)
88 S 0.724 0.110 0.091 (multiplicity 1)
89 S 0.737 0.825 0.140 (multiplicity 1)
90 S 0.746 0.393 0.008 (multiplicity 1)
91 S 0.748 0.785 0.471 (multiplicity 1)
92 S 0.781 0.895 0.576 (multiplicity 1)
93 S 0.791 0.911 0.840 (multiplicity 1)
94 S 0.831 0.284 0.324 (multiplicity 1)
95 S 0.844 0.644 0.719 (multiplicity 1)
96 S 0.864 0.493 0.508 (multiplicity 1)
97 S 0.872 0.582 0.225 (multiplicity 1)
98 S 0.920 0.666 0.974 (multiplicity 1)
99 S 0.956 0.934 0.259 (multiplicity 1)
100 S 0.980 0.176 0.969 (multiplicity 1)

Computed properties:
**Electronic total energy**: -3.11 eV/atom
**Energy relative to the elements**: -0.660 eV/atom


Record 4
This record from the Materials Project database describes an optimized crystal structure of ZnS. The functional is GGA-PBE.

Cell lengths 3.8530, 3.8530, 18.9038 Å; angles 90.00, 90.00, 120.00 degrees
Space group P6_3mc (No. 186)
One atom of each set of equivalent atoms:
1 Zn 0.0000 0.0000 0.0000 (multiplicity 2)
2 Zn 0.3333 0.6667 0.1668 (multiplicity 2)
3 Zn 0.3333 0.6667 0.8333 (multiplicity 2)
4 S 0.0000 0.0000 0.1251 (multiplicity 2)
5 S 0.3333 0.6667 0.2916 (multiplicity 2)
6 S 0.3333 0.6667 0.9581 (multiplicity 2)

Computed properties:
**Piezoelectric modulus e_max**: 0.1 C/m2
**Electronic total energy**: -3.51 eV/atom
**Energy relative to the elements**: -1.061 eV/atom